Material: Ho2Mn2O7
Method: DFT, GGA+U
State: relaxed

## Properties
Calculated volume ... 11.379 Å³ per atom
Energy relative to the elements ... -2.906 eV/atom
Symmetry ... Fd-3m (227)

Geometry as extended XYZ:
```
22
Lattice="0.000 5.002 5.002 5.002 0.000 5.002 5.002 5.002 0.000" Properties=species:S:1:pos:R:3 pbc="T T T"
Ho 0.000 0.000 0.000
Ho 2.501 2.501 0.000
Ho 2.501 0.000 2.501
Ho 0.000 2.501 2.501
Mn 5.002 2.501 2.501
Mn 2.501 5.002 2.501
Mn 2.501 2.501 5.002
Mn 5.002 5.002 5.002
O 1.251 1.251 1.251
O 3.752 3.752 1.695
O 3.752 1.695 3.752
O 5.808 3.752 3.752
O 6.253 6.253 4.196
O 6.253 4.196 6.253
O 8.309 6.253 6.253
O 1.695 3.752 3.752
O 3.752 5.808 3.752
O 3.752 3.752 5.808
O 4.196 6.253 6.253
O 6.253 8.309 6.253
O 6.253 6.253 8.309
O 8.754 8.754 8.754
```